Record 1
# LiCu2PO4, relaxed, DFT PBE-GGA
data_LiCu2PO4
_chemical_formula_sum 'Li2 Cu4 P2 O8'
_cell_length_a 6.139
_cell_length_b 5.532
_cell_length_c 5.179
_cell_angle_alpha 90.00
_cell_angle_beta 90.00
_cell_angle_gamma 90.00
_symmetry_space_group_name_H-M 'P 1'
_symmetry_Int_Tables_number 1
loop_
_symmetry_equiv_pos_as_xyz
'x,y,z'
loop_
_atom_site_label
_atom_site_type_symbol
_atom_site_fract_x
_atom_site_fract_y
_atom_site_fract_z
Li1 Li 0.000 0.162 0.000
Li2 Li 0.500 0.838 0.500
Cu1 Cu 0.248 0.654 0.994
Cu2 Cu 0.252 0.346 0.494
Cu3 Cu 0.748 0.346 0.494
Cu4 Cu 0.752 0.654 0.994
P1 P 0.000 0.838 0.499
P2 P 0.500 0.162 0.999
O1 O 0.000 0.096 0.621
O2 O 0.000 0.854 0.199
O3 O 0.210 0.701 0.592
O4 O 0.290 0.299 0.092
O5 O 0.500 0.146 0.699
O6 O 0.500 0.904 0.121
O7 O 0.710 0.299 0.092
O8 O 0.790 0.701 0.592
# VASP energy = -0.4342 Ry per atom
# excess energy over the best structure of this formula in the dataset = 21.7 meV/atom
# ρ = 4.32 Mg/m³
# formation energy = -1837 meV per atom


Record 2
# LiCu2PO4, relaxed, DFT PBE-GGA
data_LiCu2PO4
_chemical_formula_sum 'Li2 Cu4 P2 O8'
_cell_length_a 5.168
_cell_length_b 5.536
_cell_length_c 6.209
_cell_angle_alpha 89.38
_cell_angle_beta 89.97
_cell_angle_gamma 89.67
_symmetry_space_group_name_H-M 'P 1'
_symmetry_Int_Tables_number 1
loop_
_symmetry_equiv_pos_as_xyz
'x,y,z'
loop_
_atom_site_label
_atom_site_type_symbol
_atom_site_fract_x
_atom_site_fract_y
_atom_site_fract_z
Li1 Li 0.000 0.000 0.000
Li2 Li 0.499 0.826 0.752
Cu1 Cu 0.011 0.476 0.253
Cu2 Cu 0.498 0.327 0.017
Cu3 Cu 0.508 0.326 0.486
Cu4 Cu 0.996 0.006 0.501
P1 P 0.498 0.852 0.247
P2 P 0.994 0.509 0.757
O1 O 0.089 0.354 0.955
O2 O 0.098 0.373 0.554
O3 O 0.110 0.768 0.764
O4 O 0.197 0.859 0.240
O5 O 0.593 0.972 0.462
O6 O 0.600 0.587 0.251
O7 O 0.612 0.977 0.041
O8 O 0.694 0.518 0.753
# VASP energy = -0.4345 Ry per atom
# excess energy over the best structure of this formula in the dataset = 17.9 meV/atom
# ρ = 4.28 Mg/m³
# formation energy = -1840 meV per atom


Record 3
# LiCuP4O12, relaxed, DFT PBE-GGA
data_LiCuP4O12
_chemical_formula_sum 'Li2 Cu2 P8 O24'
_cell_length_a 8.038
_cell_length_b 8.038
_cell_length_c 7.812
_cell_angle_alpha 93.21
_cell_angle_beta 93.21
_cell_angle_gamma 108.80
_symmetry_space_group_name_H-M 'P 1'
_symmetry_Int_Tables_number 1
loop_
_symmetry_equiv_pos_as_xyz
'x,y,z'
loop_
_atom_site_label
_atom_site_type_symbol
_atom_site_fract_x
_atom_site_fract_y
_atom_site_fract_z
Li1 Li 0.154 0.846 0.500
Li2 Li 0.846 0.154 0.000
Cu1 Cu 0.526 0.797 0.925
Cu2 Cu 0.797 0.526 0.425
P1 P 0.101 0.404 0.324
P2 P 0.215 0.894 0.080
P3 P 0.404 0.101 0.824
P4 P 0.451 0.613 0.488
P5 P 0.613 0.451 0.988
P6 P 0.732 0.882 0.343
P7 P 0.882 0.732 0.843
P8 P 0.894 0.215 0.580
O1 O 0.009 0.816 0.012
O2 O 0.030 0.557 0.371
O3 O 0.040 0.301 0.157
O4 O 0.075 0.283 0.486
O5 O 0.224 0.930 0.269
O6 O 0.283 0.075 0.986
O7 O 0.301 0.040 0.657
O8 O 0.301 0.765 0.002
O9 O 0.311 0.493 0.337
O10 O 0.365 0.651 0.641
O11 O 0.493 0.311 0.837
O12 O 0.525 0.591 0.022
O13 O 0.533 0.789 0.389
O14 O 0.557 0.030 0.871
O15 O 0.591 0.525 0.522
O16 O 0.651 0.365 0.141
O17 O 0.735 0.978 0.185
O18 O 0.743 0.825 0.832
O19 O 0.765 0.301 0.502
O20 O 0.789 0.533 0.889
O21 O 0.816 0.009 0.512
O22 O 0.825 0.743 0.332
O23 O 0.930 0.224 0.769
O24 O 0.978 0.735 0.685
# VASP energy = -0.4939 Ry per atom
# excess energy over the best structure of this formula in the dataset = 0.0 meV/atom
# ρ = 2.70 Mg/m³
# formation energy = -2343 meV per atom


Record 4
# LiCu2PO4, relaxed, DFT PBE-GGA
data_LiCu2PO4
_chemical_formula_sum 'Li2 Cu4 P2 O8'
_cell_length_a 5.170
_cell_length_b 5.505
_cell_length_c 6.211
_cell_angle_alpha 89.56
_cell_angle_beta 88.81
_cell_angle_gamma 88.13
_symmetry_space_group_name_H-M 'P 1'
_symmetry_Int_Tables_number 1
loop_
_symmetry_equiv_pos_as_xyz
'x,y,z'
loop_
_atom_site_label
_atom_site_type_symbol
_atom_site_fract_x
_atom_site_fract_y
_atom_site_fract_z
Li1 Li 0.000 0.000 0.000
Li2 Li 0.013 0.526 0.246
Cu1 Cu 0.065 0.499 0.714
Cu2 Cu 0.469 0.211 0.270
Cu3 Cu 0.473 0.219 0.731
Cu4 Cu 0.505 0.602 0.506
P1 P 0.516 0.693 0.003
P2 P 0.986 0.019 0.493
O1 O 0.080 0.164 0.289
O2 O 0.081 0.135 0.708
O3 O 0.097 0.754 0.480
O4 O 0.215 0.687 0.005
O5 O 0.614 0.956 0.001
O6 O 0.630 0.551 0.203
O7 O 0.637 0.551 0.804
O8 O 0.687 0.016 0.498
# VASP energy = -0.4356 Ry per atom
# excess energy over the best structure of this formula in the dataset = 2.1 meV/atom
# ρ = 4.31 Mg/m³
# formation energy = -1856 meV per atom


Record 5
# Li2CuP2O7, relaxed, DFT PBE-GGA
data_Li2CuP2O7
_chemical_formula_sum 'Li8 Cu4 P8 O28'
_cell_length_a 5.013
_cell_length_b 13.319
_cell_length_c 9.208
_cell_angle_alpha 90.00
_cell_angle_beta 118.81
_cell_angle_gamma 90.00
_symmetry_space_group_name_H-M 'P 1'
_symmetry_Int_Tables_number 1
loop_
_symmetry_equiv_pos_as_xyz
'x,y,z'
loop_
_atom_site_label
_atom_site_type_symbol
_atom_site_fract_x
_atom_site_fract_y
_atom_site_fract_z
Li1 Li 0.048 0.112 0.365
Li2 Li 0.048 0.388 0.865
Li3 Li 0.431 0.204 0.173
Li4 Li 0.431 0.296 0.673
Li5 Li 0.569 0.704 0.327
Li6 Li 0.569 0.796 0.827
Li7 Li 0.952 0.612 0.135
Li8 Li 0.952 0.888 0.635
Cu1 Cu 0.050 0.149 0.755
Cu2 Cu 0.050 0.351 0.255
Cu3 Cu 0.950 0.649 0.745
Cu4 Cu 0.950 0.851 0.245
P1 P 0.254 0.670 0.528
P2 P 0.254 0.830 0.028
P3 P 0.484 0.525 0.778
P4 P 0.484 0.975 0.278
P5 P 0.516 0.025 0.722
P6 P 0.516 0.475 0.222
P7 P 0.746 0.170 0.972
P8 P 0.746 0.330 0.472
O1 O 0.010 0.178 0.147
O2 O 0.010 0.322 0.647
O3 O 0.183 0.721 0.657
O4 O 0.183 0.779 0.157
O5 O 0.234 0.532 0.831
O6 O 0.234 0.968 0.331
O7 O 0.269 0.108 0.635
O8 O 0.269 0.392 0.135
O9 O 0.310 0.553 0.580
O10 O 0.310 0.947 0.080
O11 O 0.385 0.579 0.209
O12 O 0.385 0.921 0.709
O13 O 0.441 0.209 0.954
O14 O 0.441 0.291 0.454
O15 O 0.559 0.709 0.546
O16 O 0.559 0.791 0.046
O17 O 0.615 0.079 0.291
O18 O 0.615 0.421 0.791
O19 O 0.690 0.053 0.920
O20 O 0.690 0.447 0.420
O21 O 0.731 0.608 0.865
O22 O 0.731 0.892 0.365
O23 O 0.766 0.032 0.669
O24 O 0.766 0.468 0.169
O25 O 0.817 0.221 0.843
O26 O 0.817 0.279 0.343
O27 O 0.990 0.678 0.353
O28 O 0.990 0.822 0.853
# VASP energy = -0.4748 Ry per atom
# excess energy over the best structure of this formula in the dataset = 38.8 meV/atom
# ρ = 3.10 Mg/m³
# formation energy = -2412 meV per atom


Record 6
# Li2CuPO4, relaxed, DFT PBE-GGA
data_Li2CuPO4
_chemical_formula_sum 'Li8 Cu4 P4 O16'
_cell_length_a 10.616
_cell_length_b 6.228
_cell_length_c 5.208
_cell_angle_alpha 90.00
_cell_angle_beta 90.00
_cell_angle_gamma 90.00
_symmetry_space_group_name_H-M 'P 1'
_symmetry_Int_Tables_number 1
loop_
_symmetry_equiv_pos_as_xyz
'x,y,z'
loop_
_atom_site_label
_atom_site_type_symbol
_atom_site_fract_x
_atom_site_fract_y
_atom_site_fract_z
Li1 Li 0.161 0.002 0.194
Li2 Li 0.161 0.498 0.194
Li3 Li 0.339 0.502 0.694
Li4 Li 0.339 0.998 0.694
Li5 Li 0.661 0.002 0.306
Li6 Li 0.661 0.498 0.306
Li7 Li 0.839 0.502 0.806
Li8 Li 0.839 0.998 0.806
Cu1 Cu 0.108 0.750 0.753
Cu2 Cu 0.392 0.250 0.253
Cu3 Cu 0.608 0.750 0.747
Cu4 Cu 0.892 0.250 0.247
P1 P 0.087 0.250 0.686
P2 P 0.413 0.750 0.186
P3 P 0.587 0.250 0.814
P4 P 0.913 0.750 0.314
O1 O 0.053 0.750 0.238
O2 O 0.101 0.250 0.389
O3 O 0.158 0.050 0.802
O4 O 0.158 0.450 0.802
O5 O 0.342 0.550 0.302
O6 O 0.342 0.950 0.302
O7 O 0.399 0.750 0.889
O8 O 0.447 0.250 0.738
O9 O 0.553 0.750 0.262
O10 O 0.601 0.250 0.111
O11 O 0.658 0.050 0.698
O12 O 0.658 0.450 0.698
O13 O 0.842 0.550 0.198
O14 O 0.842 0.950 0.198
O15 O 0.899 0.750 0.611
O16 O 0.947 0.250 0.762
# VASP energy = -0.4482 Ry per atom
# excess energy over the best structure of this formula in the dataset = 5.4 meV/atom
# ρ = 3.33 Mg/m³
# formation energy = -2301 meV per atom


Record 7
# Li5Cu6P8O28, relaxed, DFT PBE-GGA
data_Li5Cu6P8O28
_chemical_formula_sum 'Li5 Cu6 P8 O28'
_cell_length_a 6.265
_cell_length_b 8.374
_cell_length_c 10.236
_cell_angle_alpha 104.43
_cell_angle_beta 90.98
_cell_angle_gamma 92.78
_symmetry_space_group_name_H-M 'P 1'
_symmetry_Int_Tables_number 1
loop_
_symmetry_equiv_pos_as_xyz
'x,y,z'
loop_
_atom_site_label
_atom_site_type_symbol
_atom_site_fract_x
_atom_site_fract_y
_atom_site_fract_z
Li1 Li 0.000 0.000 0.000
Li2 Li 0.400 0.888 0.374
Li3 Li 0.486 0.340 0.890
Li4 Li 0.514 0.660 0.110
Li5 Li 0.600 0.112 0.626
Cu1 Cu 0.000 0.000 0.500
Cu2 Cu 0.146 0.617 0.444
Cu3 Cu 0.192 0.612 0.852
Cu4 Cu 0.500 0.000 0.000
Cu5 Cu 0.808 0.388 0.148
Cu6 Cu 0.854 0.383 0.556
P1 P 0.031 0.738 0.182
P2 P 0.234 0.969 0.762
P3 P 0.313 0.315 0.186
P4 P 0.345 0.291 0.478
P5 P 0.655 0.709 0.522
P6 P 0.687 0.685 0.814
P7 P 0.766 0.031 0.238
P8 P 0.969 0.262 0.818
O1 O 0.041 0.082 0.834
O2 O 0.105 0.402 0.222
O3 O 0.110 0.778 0.331
O4 O 0.155 0.878 0.620
O5 O 0.168 0.416 0.522
O6 O 0.174 0.374 0.847
O7 O 0.207 0.693 0.083
O8 O 0.250 0.855 0.862
O9 O 0.276 0.111 0.475
O10 O 0.276 0.141 0.092
O11 O 0.416 0.296 0.329
O12 O 0.433 0.081 0.774
O13 O 0.456 0.663 0.430
O14 O 0.485 0.417 0.132
O15 O 0.515 0.583 0.868
O16 O 0.544 0.337 0.570
O17 O 0.567 0.919 0.226
O18 O 0.584 0.704 0.671
O19 O 0.724 0.859 0.908
O20 O 0.724 0.889 0.525
O21 O 0.750 0.145 0.138
O22 O 0.793 0.307 0.917
O23 O 0.826 0.626 0.153
O24 O 0.832 0.584 0.478
O25 O 0.845 0.122 0.380
O26 O 0.890 0.222 0.669
O27 O 0.895 0.598 0.778
O28 O 0.959 0.918 0.166
# VASP energy = -0.4732 Ry per atom
# ρ = 3.56 Mg/m³
# formation energy = -2252 meV per atom


Record 8
# Li2CuPO4, relaxed, DFT PBE-GGA
data_Li2CuPO4
_chemical_formula_sum 'Li8 Cu4 P4 O16'
_cell_length_a 5.385
_cell_length_b 6.219
_cell_length_c 10.094
_cell_angle_alpha 89.64
_cell_angle_beta 89.87
_cell_angle_gamma 89.29
_symmetry_space_group_name_H-M 'P 1'
_symmetry_Int_Tables_number 1
loop_
_symmetry_equiv_pos_as_xyz
'x,y,z'
loop_
_atom_site_label
_atom_site_type_symbol
_atom_site_fract_x
_atom_site_fract_y
_atom_site_fract_z
Li1 Li 0.000 0.000 0.000
Li2 Li 0.002 0.994 0.500
Li3 Li 0.342 0.997 0.749
Li4 Li 0.346 0.007 0.253
Li5 Li 0.350 0.496 0.256
Li6 Li 0.520 0.249 0.501
Li7 Li 0.824 0.748 0.750
Li8 Li 0.831 0.749 0.253
Cu1 Cu 0.008 0.510 0.499
Cu2 Cu 0.016 0.491 0.995
Cu3 Cu 0.329 0.493 0.758
Cu4 Cu 0.477 0.258 0.997
P1 P 0.499 0.755 0.496
P2 P 0.504 0.759 0.004
P3 P 0.845 0.238 0.744
P4 P 0.849 0.245 0.252
O1 O 0.352 0.957 0.055
O2 O 0.354 0.954 0.550
O3 O 0.374 0.555 0.063
O4 O 0.377 0.540 0.545
O5 O 0.498 0.755 0.342
O6 O 0.500 0.756 0.849
O7 O 0.570 0.230 0.792
O8 O 0.576 0.249 0.303
O9 O 0.769 0.762 0.551
O10 O 0.775 0.764 0.055
O11 O 0.850 0.237 0.591
O12 O 0.852 0.238 0.097
O13 O 0.960 0.455 0.793
O14 O 0.987 0.454 0.294
O15 O 0.989 0.039 0.801
O16 O 0.989 0.041 0.306
# VASP energy = -0.4477 Ry per atom
# excess energy over the best structure of this formula in the dataset = 11.8 meV/atom
# ρ = 3.39 Mg/m³
# formation energy = -2295 meV per atom